Entry 1:
! Sr3Ga3B4HO14, relaxed, DFT GGA-PBE; values from VASP
! * formation energy from the elements: -269.5 kJ/mol of atoms
! * crystal system: monoclinic
! * electronic total energy: -0.5108 Ry per atom
&SYSTEM
  ibrav = 0, nat = 50, ntyp = 5
/
ATOMIC_SPECIES
Sr 87.62 Sr.upf
Ga 69.72 Ga.upf
B 10.81 B.upf
H 1.01 H.upf
O 16.00 O.upf
CELL_PARAMETERS angstrom
4.954 0.000 0.000
0.000 13.909 0.000
-2.399 0.000 8.811
ATOMIC_POSITIONS angstrom
Sr -0.156 0.000 1.038
Sr 0.077 4.175 1.812
Sr 0.097 9.756 1.782
Sr 2.458 2.801 7.029
Sr 2.479 11.129 6.999
Sr 2.711 6.955 7.773
Ga 0.141 5.262 5.542
Ga 0.144 8.618 5.539
Ga 0.154 13.889 7.135
Ga 2.401 6.934 1.676
Ga 2.412 1.663 3.272
Ga 2.415 12.216 3.268
B -0.047 12.108 4.708
B -0.046 1.754 4.719
B 0.208 4.902 8.241
B 0.210 8.983 8.236
B 2.345 2.029 0.574
B 2.347 11.857 0.570
B 2.601 8.709 4.092
B 2.603 5.153 4.102
H -0.411 7.105 2.584
H 2.966 0.150 6.227
O -0.960 5.056 4.072
O -0.956 8.777 4.050
O -1.751 13.895 7.159
O 1.006 11.702 0.423
O 1.006 2.201 0.433
O -0.451 9.512 7.083
O -0.442 4.360 7.090
O 0.620 2.138 3.556
O 0.626 11.738 3.545
O 0.106 6.940 6.287
O 1.812 5.598 0.336
O 1.818 8.283 0.333
O 0.642 12.518 5.813
O 0.654 1.348 5.820
O 1.902 8.303 2.991
O 1.914 5.564 2.998
O 0.737 1.328 8.478
O 0.743 12.553 8.475
O 2.450 13.894 2.523
O 1.929 4.783 5.266
O 1.935 9.092 5.254
O 2.997 11.315 1.721
O 3.007 2.557 1.728
O 1.549 9.156 8.378
O 1.550 4.748 8.388
O 4.306 6.940 1.652
O 3.511 1.823 4.760
O 3.515 12.011 4.739

=====

Entry 2:
! MgAs, relaxed, DFT GGA-PBE; values from VASP
! * formation energy from the elements: -38.0 kJ/mol of atoms
! * crystal system: trigonal
! * excess energy over the best structure of this formula in the dataset: 0.000 eV per atom
! * electronic total energy: -0.2590 Ry per atom
&SYSTEM
  ibrav = 0, nat = 6, ntyp = 2
/
ATOMIC_SPECIES
Mg 24.30 Mg.upf
As 74.92 As.upf
CELL_PARAMETERS angstrom
3.490 2.015 3.117
-3.490 2.015 3.117
0.000 -4.029 3.117
ATOMIC_POSITIONS angstrom
Mg -2.213 -0.197 3.117
Mg -2.212 0.197 6.234
Mg 0.935 2.015 3.117
As 0.000 0.000 1.269
As 0.000 0.000 4.675
As 0.000 0.000 8.082

=====

Entry 3:
! CdOs2N4O8, relaxed, DFT GGA-PBE; values from VASP
! * formation energy from the elements: 26.5 kJ/mol of atoms
! * crystal system: cubic
! * electronic total energy: -0.4248 Ry per atom
&SYSTEM
  ibrav = 0, nat = 15, ntyp = 4
/
ATOMIC_SPECIES
Cd 112.41 Cd.upf
Os 190.23 Os.upf
N 14.01 N.upf
O 16.00 O.upf
CELL_PARAMETERS angstrom
0.000 5.409 5.409
5.409 0.000 5.409
5.409 5.409 0.000
ATOMIC_POSITIONS angstrom
Cd 0.000 0.000 0.000
Os 2.704 2.704 2.704
Os 5.409 5.409 5.409
N 9.505 6.722 6.722
N 6.722 9.505 6.722
N 6.722 6.722 9.505
N 9.505 9.505 9.505
O 1.704 1.704 1.704
O 3.705 3.705 1.704
O 3.705 1.704 3.705
O 6.406 4.412 4.412
O 1.704 3.705 3.705
O 4.412 6.406 4.412
O 4.412 4.412 6.406
O 6.406 6.406 6.406

=====

Entry 4:
! HoSbO3, relaxed, DFT GGA-PBE; values from VASP
! * formation energy from the elements: -180.1 kJ/mol of atoms
! * crystal system: cubic
! * electronic total energy: -0.4532 Ry per atom
&SYSTEM
  ibrav = 0, nat = 5, ntyp = 3
/
ATOMIC_SPECIES
Ho 164.93 Ho.upf
Sb 121.76 Sb.upf
O 16.00 O.upf
CELL_PARAMETERS angstrom
4.246 0.000 0.000
0.000 4.246 0.000
0.000 0.000 4.246
ATOMIC_POSITIONS angstrom
Ho 0.000 0.000 0.000
Sb 2.123 2.123 2.123
O 0.000 2.123 2.123
O 2.123 0.000 2.123
O 2.123 2.123 0.000

=====

Entry 5:
! TbGa2Ni, relaxed, DFT GGA-PBE; values from VASP
! * formation energy from the elements: -62.3 kJ/mol of atoms
! * crystal system: orthorhombic
! * electronic total energy: -0.3501 Ry per atom
&SYSTEM
  ibrav = 0, nat = 16, ntyp = 3
/
ATOMIC_SPECIES
Tb 158.93 Tb.upf
Ga 69.72 Ga.upf
Ni 58.69 Ni.upf
CELL_PARAMETERS angstrom
4.100 0.000 0.000
0.000 10.137 0.000
0.000 0.000 6.651
ATOMIC_POSITIONS angstrom
Tb 0.000 0.732 1.663
Tb 0.000 9.405 4.988
Tb 2.050 4.336 4.988
Tb 2.050 5.800 1.663
Ga 0.000 3.602 0.370
Ga 0.000 3.602 2.956
Ga 0.000 6.534 3.695
Ga 0.000 6.534 6.282
Ga 2.050 1.466 3.695
Ga 2.050 1.466 6.282
Ga 2.050 8.671 0.370
Ga 2.050 8.671 2.956
Ni 0.000 2.121 4.988
Ni 0.000 8.015 1.663
Ni 2.050 2.947 1.663
Ni 2.050 7.190 4.988

=====

Entry 6:
! Tm2SnAu2, relaxed, DFT GGA-PBE; values from VASP
! * formation energy from the elements: -59.3 kJ/mol of atoms
! * crystal system: tetragonal
! * electronic total energy: -0.3320 Ry per atom
&SYSTEM
  ibrav = 0, nat = 10, ntyp = 3
/
ATOMIC_SPECIES
Tm 168.93 Tm.upf
Sn 118.71 Sn.upf
Au 196.97 Au.upf
CELL_PARAMETERS angstrom
8.299 0.000 0.000
0.000 8.299 0.000
0.000 0.000 3.520
ATOMIC_POSITIONS angstrom
Tm 1.353 2.796 0.000
Tm 2.796 6.945 0.000
Tm 5.503 1.353 0.000
Tm 6.945 5.503 0.000
Sn 0.000 0.000 0.000
Sn 4.149 4.149 0.000
Au 1.068 5.217 1.760
Au 3.082 1.068 1.760
Au 5.217 7.231 1.760
Au 7.231 3.082 1.760

=====

Copy entry 4 word for word.
! HoSbO3, relaxed, DFT GGA-PBE; values from VASP
! * formation energy from the elements: -180.1 kJ/mol of atoms
! * crystal system: cubic
! * electronic total energy: -0.4532 Ry per atom
&SYSTEM
  ibrav = 0, nat = 5, ntyp = 3
/
ATOMIC_SPECIES
Ho 164.93 Ho.upf
Sb 121.76 Sb.upf
O 16.00 O.upf
CELL_PARAMETERS angstrom
4.246 0.000 0.000
0.000 4.246 0.000
0.000 0.000 4.246
ATOMIC_POSITIONS angstrom
Ho 0.000 0.000 0.000
Sb 2.123 2.123 2.123
O 0.000 2.123 2.123
O 2.123 0.000 2.123
O 2.123 2.123 0.000

=====

> The highest formation energy from the elements belongs to which entry?

CdOs2N4O8